Entry 1:
The following is a PBE-GGA calculation of an optimized crystal structure of Li3Co, from Materials Project.

Unit cell a=4.7215 b=4.7215 c=4.7215 alpha=132.39 beta=132.39 gamma=69.62
Atoms (fractional coordinates):
Li 0.0000 0.0000 0.0000
Li 0.2500 0.7500 0.5000
Li 0.7500 0.2500 0.5000
Co 0.5000 0.5000 0.0000

Output
Its crystal system is tetragonal. The space-group type is I4/mmm, No. 139.

=====

Entry 2:
The following is a PBE-GGA calculation of an optimized crystal structure of TiCrAgS4, from Materials Project.

Unit cell a=5.9347 b=3.4885 c=6.5416 alpha=90.00 beta=91.47 gamma=90.00
Atoms (fractional coordinates):
Ti 0.0000 0.0000 0.0000
Cr 0.5000 0.5000 0.0000
Ag 0.5000 0.5000 0.5000
S 0.1707 0.5000 0.2139
S 0.3326 0.0000 0.7889
S 0.6674 0.0000 0.2111
S 0.8293 0.5000 0.7861

Output
Its crystal system is monoclinic. The space-group type is P2/m, No. 10. Its energy relative to the lowest polymorph listed for this composition is 7.9 meV/atom.

=====

Entry 3:
The following is a PBE-GGA calculation of an optimized crystal structure of NaMg30BO31, from Materials Project.

Unit cell a=8.4511 b=8.6249 c=8.5689 alpha=90.00 beta=90.00 gamma=90.00
Atoms (fractional coordinates):
Na 0.0000 0.0000 0.0000
Mg 0.0000 0.0000 0.4982
Mg 0.0000 0.2443 0.7520
Mg 0.0000 0.2487 0.2462
Mg 0.0000 0.5000 0.0003
Mg 0.0000 0.5000 0.4896
Mg 0.0000 0.7513 0.2462
Mg 0.0000 0.7557 0.7520
Mg 0.2480 0.0000 0.7500
Mg 0.2493 0.0000 0.2480
Mg 0.2490 0.5000 0.7467
Mg 0.2499 0.2490 0.4992
Mg 0.2499 0.7510 0.4992
Mg 0.2579 0.2419 0.9989
Mg 0.2579 0.7581 0.9989
Mg 0.2639 0.5000 0.2513
Mg 0.5000 0.0000 0.0014
Mg 0.5000 0.0000 0.4973
Mg 0.5000 0.2380 0.7513
Mg 0.5000 0.2550 0.2447
Mg 0.5000 0.5000 0.5012
Mg 0.5000 0.7450 0.2447
Mg 0.5000 0.7620 0.7513
Mg 0.7361 0.5000 0.2513
Mg 0.7421 0.2419 0.9989
Mg 0.7421 0.7581 0.9989
Mg 0.7501 0.2490 0.4992
Mg 0.7501 0.7510 0.4992
Mg 0.7507 0.0000 0.2480
Mg 0.7510 0.5000 0.7467
Mg 0.7520 0.0000 0.7500
B 0.5000 0.5000 0.9430
O 0.0000 0.0000 0.2620
O 0.0000 0.0000 0.7360
O 0.0000 0.2552 0.4994
O 0.0000 0.2703 0.9992
O 0.0000 0.5000 0.2420
O 0.0000 0.7297 0.9992
O 0.0000 0.7448 0.4994
O 0.2494 0.5000 0.5046
O 0.2502 0.2523 0.7508
O 0.2504 0.2535 0.2470
O 0.2504 0.7465 0.2470
O 0.2502 0.7477 0.7508
O 0.2513 0.0000 0.4991
O 0.2595 0.0000 0.9987
O 0.3364 0.5000 0.9964
O 0.5000 0.0000 0.2544
O 0.5000 0.0000 0.7430
O 0.5000 0.2351 0.9950
O 0.5000 0.2528 0.5058
O 0.5000 0.5000 0.2741
O 0.5000 0.5000 0.7705
O 0.5000 0.7472 0.5058
O 0.5000 0.7649 0.9950
O 0.6636 0.5000 0.9964
O 0.7405 0.0000 0.9987
O 0.7487 0.0000 0.4991
O 0.7498 0.2523 0.7508
O 0.7496 0.2535 0.2470
O 0.7496 0.7465 0.2470
O 0.7498 0.7477 0.7508
O 0.7506 0.5000 0.5046

Output
Its crystal system is orthorhombic. The space-group type is Pmm2, No. 25. Its energy relative to the lowest polymorph listed for this composition is 16.8 meV/atom.

=====

Entry 4:
The following is a PBE-GGA calculation of an optimized crystal structure of NaHgH2Cl3, from Materials Project.

Unit cell a=7.6207 b=4.3054 c=19.6998 alpha=90.00 beta=90.00 gamma=90.00
Atoms (fractional coordinates):
Na 0.0059 0.2500 0.1770
Na 0.4941 0.7500 0.6770
Na 0.5059 0.2500 0.3230
Na 0.9941 0.7500 0.8230
Hg 0.0594 0.7500 0.5871
Hg 0.4406 0.2500 0.0871
Hg 0.5594 0.7500 0.9129
Hg 0.9406 0.2500 0.4129
H 0.0472 0.7500 0.9509
H 0.1614 0.2500 0.8049
H 0.3386 0.7500 0.3049
H 0.4528 0.2500 0.4509
H 0.5472 0.7500 0.5491
H 0.6614 0.2500 0.6951
H 0.8386 0.7500 0.1951
H 0.9528 0.2500 0.0491
Cl 0.1256 0.2500 0.3134
Cl 0.1905 0.7500 0.4764
Cl 0.2119 0.7500 0.1395
Cl 0.2881 0.2500 0.6395
Cl 0.3095 0.2500 0.9764
Cl 0.3744 0.7500 0.8134
Cl 0.6256 0.2500 0.1866
Cl 0.6905 0.7500 0.0236
Cl 0.7119 0.7500 0.3605
Cl 0.7881 0.2500 0.8605
Cl 0.8095 0.2500 0.5236
Cl 0.8744 0.7500 0.6866

Output
Its crystal system is orthorhombic. The space-group type is Pnma, No. 62.

=====

Entry 5:
The following is a PBE-GGA calculation of an optimized crystal structure of LaOF, from Materials Project.

Unit cell a=4.0918 b=4.0918 c=5.8572 alpha=90.00 beta=90.00 gamma=90.00
Atoms (fractional coordinates):
La 0.2500 0.2500 0.2143
La 0.7500 0.7500 0.7857
O 0.2500 0.7500 0.0000
O 0.7500 0.2500 0.0000
F 0.2500 0.7500 0.5000
F 0.7500 0.2500 0.5000

Output
Its crystal system is tetragonal. The space-group type is P4/nmm, No. 129.

=====

Entry 6:
The following is a PBE-GGA calculation of an optimized crystal structure of TlIO3, from Materials Project.

Unit cell a=4.2497 b=4.2497 c=4.2497 alpha=90.00 beta=90.00 gamma=90.00
Atoms (fractional coordinates):
Tl 0.0000 0.0000 0.0000
I 0.5000 0.5000 0.5000
O 0.0000 0.5000 0.5000
O 0.5000 0.0000 0.5000
O 0.5000 0.5000 0.0000

Output
Its crystal system is cubic. The space-group type is Pm-3m, No. 221.

=====

Entry 7:
The following is a PBE-GGA calculation of an optimized crystal structure of K2PrCuI6, from Materials Project.

Unit cell a=8.4722 b=8.4722 c=8.4722 alpha=60.00 beta=60.00 gamma=60.00
Atoms (fractional coordinates):
K 0.2500 0.2500 0.2500
K 0.7500 0.7500 0.7500
Pr 0.0000 0.0000 0.0000
Cu 0.5000 0.5000 0.5000
I 0.2605 0.2605 0.7395
I 0.2605 0.7395 0.2605
I 0.2605 0.7395 0.7395
I 0.7395 0.2605 0.2605
I 0.7395 0.2605 0.7395
I 0.7395 0.7395 0.2605

Output
Its crystal system is cubic. The space-group type is Fm-3m, No. 225.

=====

Entry 8:
The following is a PBE-GGA calculation of an optimized crystal structure of PCl3, from Materials Project.

Unit cell a=8.9875 b=10.0745 c=6.5232 alpha=90.00 beta=90.00 gamma=90.00
Atoms (fractional coordinates):
P 0.0275 0.2500 0.0763
P 0.4725 0.7500 0.5763
P 0.5275 0.2500 0.4237
P 0.9725 0.7500 0.9237
Cl 0.0971 0.0921 0.2552
Cl 0.0971 0.4079 0.2552
Cl 0.1901 0.2500 0.8513
Cl 0.3099 0.7500 0.3513
Cl 0.4029 0.5921 0.7552
Cl 0.4029 0.9079 0.7552
Cl 0.5971 0.0921 0.2448
Cl 0.5971 0.4079 0.2448
Cl 0.6901 0.2500 0.6487
Cl 0.8099 0.7500 0.1487
Cl 0.9029 0.5921 0.7448
Cl 0.9029 0.9079 0.7448

Output
Its crystal system is orthorhombic. The space-group type is Pnma, No. 62.

=====

Entry 9:
The following is a PBE-GGA calculation of an optimized crystal structure of ZnNi3, from Materials Project.

Unit cell a=3.5691 b=3.5691 c=3.5691 alpha=90.00 beta=90.00 gamma=90.00
Atoms (fractional coordinates):
Zn 0.0000 0.0000 0.0000
Ni 0.0000 0.5000 0.5000
Ni 0.5000 0.0000 0.5000
Ni 0.5000 0.5000 0.0000

Output
Its crystal system is cubic. The space-group type is Pm-3m, No. 221.

=====

Entry 10:
The following is a PBE-GGA calculation of an optimized crystal structure of Zr2TcNi, from Materials Project.

Unit cell a=4.6206 b=4.6206 c=4.6206 alpha=60.00 beta=60.00 gamma=60.00
Atoms (fractional coordinates):
Zr 0.2500 0.2500 0.2500
Zr 0.7500 0.7500 0.7500
Tc 0.0000 0.0000 0.0000
Ni 0.5000 0.5000 0.5000

Output
Its crystal system is cubic. The space-group type is Fm-3m, No. 225.

=====

Entry 11:
The following is a PBE-GGA calculation of an optimized crystal structure of ZrZn, from Materials Project.

Unit cell a=3.3450 b=3.3450 c=3.3450 alpha=90.00 beta=90.00 gamma=90.00
Atoms (fractional coordinates):
Zr 0.0000 0.0000 0.0000
Zn 0.5000 0.5000 0.5000

Output
Its crystal system is cubic. The space-group type is Pm-3m, No. 221.

=====

Entry 12:
The following is a PBE-GGA calculation of an optimized crystal structure of Li2AlAgF6, from Materials Project.

Unit cell a=5.8956 b=5.8956 c=5.8956 alpha=60.00 beta=60.00 gamma=60.00
Atoms (fractional coordinates):
Li 0.2500 0.2500 0.2500
Li 0.7500 0.7500 0.7500
Al 0.0000 0.0000 0.0000
Ag 0.5000 0.5000 0.5000
F 0.2177 0.2177 0.7823
F 0.2177 0.7823 0.2177
F 0.2177 0.7823 0.7823
F 0.7823 0.2177 0.2177
F 0.7823 0.2177 0.7823
F 0.7823 0.7823 0.2177

Output
Its crystal system is cubic. The space-group type is Fm-3m, No. 225.

=====

Energy of formation from the pure elements for every record listed, in sequence, given in meV/atom: 329 -1099 -2887 -332 -4256 -727 -1315 -1161 -113 -389 -287 -2774.